Record 1
VASP calculation (r2SCAN) on CuSe2Cl after structural relaxation.

Calculated values
Magnetic moment (μB per cell): 0.000
Energy of formation from the pure elements (eV per atom): -0.336

Unit cell a=7.708 b=4.874 c=11.598 alpha=90.00 beta=114.81 gamma=90.00
Sites, in units of the cell vectors:
1 Cu 0.176 0.138 0.248
2 Cu 0.176 0.362 0.748
3 Cu 0.824 0.638 0.252
4 Cu 0.824 0.862 0.752
5 Se 0.302 0.030 0.655
6 Se 0.302 0.470 0.155
7 Se 0.419 0.692 0.842
8 Se 0.419 0.808 0.342
9 Se 0.581 0.192 0.658
10 Se 0.581 0.308 0.158
11 Se 0.698 0.530 0.845
12 Se 0.698 0.970 0.345
13 Cl 0.086 0.110 0.881
14 Cl 0.086 0.390 0.381
15 Cl 0.914 0.610 0.619
16 Cl 0.914 0.890 0.119

***

Record 2
VASP calculation (r2SCAN) on CuTe2Cl after structural relaxation.

Calculated values
Magnetic moment (μB per cell): 0.000
Energy of formation from the pure elements (eV per atom): -0.331

Unit cell a=8.189 b=5.089 c=12.301 alpha=90.00 beta=116.70 gamma=90.00
Sites, in units of the cell vectors:
1 Cu 0.172 0.132 0.250
2 Cu 0.172 0.368 0.750
3 Cu 0.828 0.632 0.250
4 Cu 0.828 0.868 0.750
5 Te 0.270 0.025 0.641
6 Te 0.270 0.475 0.141
7 Te 0.416 0.709 0.856
8 Te 0.416 0.791 0.356
9 Te 0.584 0.209 0.644
10 Te 0.584 0.291 0.144
11 Te 0.730 0.525 0.859
12 Te 0.730 0.975 0.359
13 Cl 0.085 0.111 0.873
14 Cl 0.085 0.389 0.373
15 Cl 0.915 0.611 0.627
16 Cl 0.915 0.889 0.127

***

Record 3
VASP calculation (r2SCAN) on TlCuCl3 after structural relaxation.

Calculated values
Magnetic moment (μB per cell): 0.534
Energy of formation from the pure elements (eV per atom): -0.838

Unit cell a=4.820 b=4.820 c=4.820 alpha=90.00 beta=90.00 gamma=90.00
Sites, in units of the cell vectors:
1 Tl 0.000 0.000 0.000
2 Cu 0.500 0.500 0.500
3 Cl 0.000 0.500 0.500
4 Cl 0.500 0.000 0.500
5 Cl 0.500 0.500 0.000

***

Record 4
VASP calculation (r2SCAN) on TlCuCl3 after structural relaxation.

Calculated values
Magnetic moment (μB per cell): 4.000
Energy of formation from the pure elements (eV per atom): -0.866

Unit cell a=4.013 b=14.156 c=8.871 alpha=90.00 beta=96.70 gamma=90.00
Sites, in units of the cell vectors:
1 Tl 0.224 0.168 0.448
2 Tl 0.224 0.332 0.948
3 Tl 0.776 0.668 0.052
4 Tl 0.776 0.832 0.552
5 Cu 0.235 0.548 0.654
6 Cu 0.235 0.952 0.154
7 Cu 0.765 0.048 0.846
8 Cu 0.765 0.452 0.346
9 Cl 0.178 0.097 0.035
10 Cl 0.178 0.403 0.535
11 Cl 0.268 0.693 0.760
12 Cl 0.268 0.807 0.260
13 Cl 0.326 0.507 0.182
14 Cl 0.326 0.993 0.682
15 Cl 0.674 0.007 0.318
16 Cl 0.674 0.493 0.818
17 Cl 0.732 0.193 0.740
18 Cl 0.732 0.307 0.240
19 Cl 0.822 0.597 0.465
20 Cl 0.822 0.903 0.965